An optimized crystal structure of LaGeIr. Source: the Materials Project, functional r²SCAN.

Total energy, eV/cell: -197.75
Energy of formation from the pure elements, eV per atom: -0.966

Lattice parameters (Å, degrees): 7.761 7.761 7.761 147.26 147.26 46.98
Fractional positions:
La (0.000, 0.000, 0.000)
La (0.750, 0.250, 0.500)
Ge (0.171, 0.671, 0.500)
Ge (0.421, 0.421, 0.000)
Ir (0.344, 0.844, 0.500)
Ir (0.594, 0.594, 0.000)

An optimized crystal structure of AgAuF4. Source: the Materials Project, functional r²SCAN.

Total energy, eV/cell: -183.94
Energy of formation from the pure elements, eV per atom: -1.255

Lattice parameters (Å, degrees): 6.715 6.715 6.715 129.63 129.63 74.00
Fractional positions:
Ag (0.250, 0.250, 0.000)
Ag (0.750, 0.750, 0.000)
Au (0.000, 0.500, 0.500)
Au (0.500, 0.000, 0.500)
F (0.043, 0.543, 0.844)
F (0.199, 0.043, 0.500)
F (0.301, 0.801, 0.844)
F (0.457, 0.301, 0.500)
F (0.543, 0.699, 0.500)
F (0.699, 0.199, 0.156)
F (0.801, 0.957, 0.500)
F (0.957, 0.457, 0.156)

An optimized crystal structure of SrAcAu2. Source: the Materials Project, functional r²SCAN.

Total energy, eV/cell: -188.20
Energy of formation from the pure elements, eV per atom: -0.811

Lattice parameters (Å, degrees): 5.449 5.449 5.449 60.00 60.00 60.00
Fractional positions:
Sr (0.000, 0.000, 0.000)
Ac (0.500, 0.500, 0.500)
Au (0.250, 0.250, 0.250)
Au (0.750, 0.750, 0.750)

An optimized crystal structure of Rb2Ge4O9. Source: the Materials Project, functional r²SCAN.

Total energy, eV/cell: -995.77
Energy of formation from the pure elements, eV per atom: -1.924

Lattice parameters (Å, degrees): 12.139 12.139 9.893 90.00 90.00 120.00
Fractional positions:
Rb (0.002, 0.337, 0.431)
Rb (0.002, 0.664, 0.931)
Rb (0.336, 0.337, 0.931)
Rb (0.336, 0.998, 0.431)
Rb (0.337, 0.002, 0.069)
Rb (0.337, 0.336, 0.569)
Rb (0.663, 0.664, 0.431)
Rb (0.663, 0.998, 0.931)
Rb (0.664, 0.002, 0.569)
Rb (0.664, 0.663, 0.069)
Rb (0.998, 0.336, 0.069)
Rb (0.998, 0.663, 0.569)
Ge (0.000, 0.000, 0.000)
Ge (0.000, 0.000, 0.500)
Ge (0.000, 0.177, 0.750)
Ge (0.000, 0.823, 0.250)
Ge (0.151, 0.484, 0.721)
Ge (0.151, 0.667, 0.221)
Ge (0.177, 0.000, 0.750)
Ge (0.177, 0.177, 0.250)
Ge (0.333, 0.484, 0.221)
Ge (0.333, 0.667, 0.470)
Ge (0.333, 0.667, 0.970)
Ge (0.333, 0.849, 0.721)
Ge (0.484, 0.151, 0.779)
Ge (0.484, 0.333, 0.279)
Ge (0.516, 0.667, 0.721)
Ge (0.516, 0.849, 0.221)
Ge (0.667, 0.151, 0.279)
Ge (0.667, 0.333, 0.030)
Ge (0.667, 0.333, 0.530)
Ge (0.667, 0.516, 0.779)
Ge (0.823, 0.000, 0.250)
Ge (0.823, 0.823, 0.750)
Ge (0.849, 0.333, 0.779)
Ge (0.849, 0.516, 0.279)
O (0.000, 0.470, 0.750)
O (0.000, 0.530, 0.250)
O (0.072, 0.148, 0.887)
O (0.072, 0.924, 0.387)
O (0.076, 0.148, 0.387)
O (0.076, 0.928, 0.887)
O (0.118, 0.327, 0.680)
O (0.118, 0.791, 0.180)
O (0.148, 0.072, 0.613)
O (0.148, 0.076, 0.113)
O (0.187, 0.578, 0.578)
O (0.187, 0.609, 0.078)
O (0.209, 0.327, 0.180)
O (0.209, 0.882, 0.680)
O (0.247, 0.518, 0.862)
O (0.247, 0.729, 0.362)
O (0.271, 0.518, 0.362)
O (0.271, 0.753, 0.862)
O (0.327, 0.118, 0.820)
O (0.327, 0.209, 0.320)
O (0.391, 0.578, 0.078)
O (0.391, 0.813, 0.578)
O (0.422, 0.609, 0.578)
O (0.422, 0.813, 0.078)
O (0.470, 0.000, 0.750)
O (0.470, 0.470, 0.250)
O (0.482, 0.729, 0.862)
O (0.482, 0.753, 0.362)
O (0.518, 0.247, 0.638)
O (0.518, 0.271, 0.138)
O (0.530, 0.000, 0.250)
O (0.530, 0.530, 0.750)
O (0.578, 0.187, 0.922)
O (0.578, 0.391, 0.422)
O (0.609, 0.187, 0.422)
O (0.609, 0.422, 0.922)
O (0.673, 0.791, 0.680)
O (0.673, 0.882, 0.180)
O (0.729, 0.247, 0.138)
O (0.729, 0.482, 0.638)
O (0.753, 0.271, 0.638)
O (0.753, 0.482, 0.138)
O (0.791, 0.118, 0.320)
O (0.791, 0.673, 0.820)
O (0.813, 0.391, 0.922)
O (0.813, 0.422, 0.422)
O (0.852, 0.924, 0.887)
O (0.852, 0.928, 0.387)
O (0.882, 0.209, 0.820)
O (0.882, 0.673, 0.320)
O (0.924, 0.072, 0.113)
O (0.924, 0.852, 0.613)
O (0.928, 0.076, 0.613)
O (0.928, 0.852, 0.113)

An optimized crystal structure of SrGa2Te4. Source: the Materials Project, functional r²SCAN.

Total energy, eV/cell: -291.78
Energy of formation from the pure elements, eV per atom: -0.884

Lattice parameters (Å, degrees): 6.798 6.798 11.852 90.00 90.00 120.26
Fractional positions:
Sr (0.000, 0.000, 0.250)
Sr (0.000, 0.000, 0.750)
Ga (0.257, 0.740, 0.000)
Ga (0.260, 0.743, 0.500)
Ga (0.740, 0.257, 0.500)
Ga (0.743, 0.260, 0.000)
Te (0.000, 0.500, 0.172)
Te (0.000, 0.500, 0.828)
Te (0.157, 0.314, 0.500)
Te (0.314, 0.157, 0.000)
Te (0.500, 0.000, 0.328)
Te (0.500, 0.000, 0.672)
Te (0.686, 0.843, 0.000)
Te (0.843, 0.686, 0.500)

An optimized crystal structure of Li2MnSi2O6. Source: the Materials Project, functional r²SCAN.

Total energy, eV/cell: -204.25
Energy of formation from the pure elements, eV per atom: -2.662

Lattice parameters (Å, degrees): 7.424 7.424 5.113 109.73 109.73 89.15
Fractional positions:
Li (0.000, 0.000, 0.000)
Li (0.360, 0.426, 0.041)
Li (0.571, 0.429, 0.500)
Li (0.574, 0.640, 0.959)
Mn (0.735, 0.265, 0.000)
Mn (0.955, 0.045, 0.500)
Si (0.147, 0.447, 0.487)
Si (0.392, 0.023, 0.016)
Si (0.553, 0.853, 0.513)
Si (0.977, 0.608, 0.984)
O (0.059, 0.598, 0.720)
O (0.140, 0.524, 0.215)
O (0.177, 0.060, 0.858)
O (0.365, 0.428, 0.665)
O (0.402, 0.941, 0.280)
O (0.476, 0.860, 0.785)
O (0.530, 0.224, 0.148)
O (0.572, 0.635, 0.335)
O (0.752, 0.004, 0.677)
O (0.776, 0.470, 0.852)
O (0.940, 0.823, 0.142)
O (0.996, 0.248, 0.323)

An optimized crystal structure of Cs2Sb4S7. Source: the Materials Project, functional r²SCAN.

Total energy, eV/cell: -871.39
Energy of formation from the pure elements, eV per atom: -0.659

Lattice parameters (Å, degrees): 11.377 12.379 11.976 90.00 99.48 90.00
Fractional positions:
Cs (0.022, 0.070, 0.171)
Cs (0.022, 0.430, 0.671)
Cs (0.454, 0.545, 0.806)
Cs (0.454, 0.955, 0.306)
Cs (0.546, 0.045, 0.694)
Cs (0.546, 0.455, 0.194)
Cs (0.978, 0.570, 0.329)
Cs (0.978, 0.930, 0.829)
Sb (0.150, 0.146, 0.591)
Sb (0.150, 0.354, 0.091)
Sb (0.198, 0.642, 0.051)
Sb (0.198, 0.858, 0.551)
Sb (0.297, 0.141, 0.949)
Sb (0.297, 0.359, 0.449)
Sb (0.363, 0.660, 0.424)
Sb (0.363, 0.840, 0.924)
Sb (0.637, 0.160, 0.076)
Sb (0.637, 0.340, 0.576)
Sb (0.703, 0.641, 0.551)
Sb (0.703, 0.859, 0.051)
Sb (0.802, 0.142, 0.449)
Sb (0.802, 0.358, 0.949)
Sb (0.850, 0.646, 0.909)
Sb (0.850, 0.854, 0.409)
S (0.098, 0.204, 0.899)
S (0.098, 0.296, 0.399)
S (0.198, 0.026, 0.439)
S (0.198, 0.474, 0.939)
S (0.201, 0.729, 0.839)
S (0.201, 0.771, 0.339)
S (0.243, 0.504, 0.222)
S (0.243, 0.996, 0.722)
S (0.261, 0.536, 0.540)
S (0.261, 0.964, 0.040)
S (0.328, 0.239, 0.137)
S (0.328, 0.261, 0.637)
S (0.408, 0.705, 0.083)
S (0.408, 0.795, 0.583)
S (0.592, 0.205, 0.417)
S (0.592, 0.295, 0.917)
S (0.672, 0.739, 0.363)
S (0.672, 0.761, 0.863)
S (0.739, 0.036, 0.960)
S (0.739, 0.464, 0.460)
S (0.757, 0.004, 0.278)
S (0.757, 0.496, 0.778)
S (0.799, 0.229, 0.661)
S (0.799, 0.271, 0.161)
S (0.802, 0.526, 0.061)
S (0.802, 0.974, 0.561)
S (0.902, 0.704, 0.601)
S (0.902, 0.796, 0.101)

An optimized crystal structure of Si3As4. Source: the Materials Project, functional r²SCAN.

Total energy, eV/cell: -85.48
Energy of formation from the pure elements, eV per atom: -0.047

Lattice parameters (Å, degrees): 5.329 5.329 5.329 90.00 90.00 90.00
Fractional positions:
Si (0.000, 0.000, 0.500)
Si (0.000, 0.500, 0.000)
Si (0.500, 0.000, 0.000)
As (0.276, 0.276, 0.724)
As (0.276, 0.724, 0.276)
As (0.724, 0.276, 0.276)
As (0.724, 0.724, 0.724)